Entry 1:
{
  "formula": "Sr4La4Mn7CuO24",
  "functional": "GGA+U",
  "state": "optimized geometry",
  "de_polymorph_ev_per_atom": 0.4915,
  "final_energy_ev_per_atom": -6.82,
  "e_form_ev_per_atom": -2.191,
  "vol_a3_per_cell": 474.9,
  "spacegroup": "No. 2",
  "cell": [[5.4580, 0.0000, 0.0000], [-2.7271, 4.8361, 0.0000], [-0.0096, -2.7029, 17.9924]],
  "species": ["Sr", "Sr", "Sr", "Sr", "La", "La", "La", "La", "Mn", "Mn", "Mn", "Mn", "Mn", "Mn", "Mn", "Cu", "O", "O", "O", "O", "O", "O", "O", "O", "O", "O", "O", "O", "O", "O", "O", "O", "O", "O", "O", "O", "O", "O", "O", "O"],
  "fractional_positions": [[0.1226, 0.0614, 0.3129], [0.3764, 0.1867, 0.9386], [0.6236, 0.8133, 0.0614], [0.8774, 0.9386, 0.6871], [0.1283, 0.5626, 0.8150], [0.3730, 0.6866, 0.4389], [0.6270, 0.3134, 0.5611], [0.8717, 0.4374, 0.1850], [0.0000, 0.5000, 0.0000], [0.2494, 0.1239, 0.1244], [0.2489, 0.6262, 0.6254], [0.4987, 0.7488, 0.2496], [0.5013, 0.2512, 0.7504], [0.7511, 0.3738, 0.3746], [0.7506, 0.8761, 0.8756], [0.0000, 0.0000, 0.5000], [0.0602, 0.7697, 0.5708], [0.0714, 0.2908, 0.0743], [0.0972, 0.5846, 0.2998], [0.1119, 0.1020, 0.8027], [0.1195, 0.8063, 0.0660], [0.1424, 0.3393, 0.5634], [0.3734, 0.4398, 0.1891], [0.3799, 0.9419, 0.6871], [0.3897, 0.6627, 0.9434], [0.4003, 0.1506, 0.4485], [0.4384, 0.4629, 0.6752], [0.4388, 0.9743, 0.1801], [0.5612, 0.0257, 0.8199], [0.5616, 0.5371, 0.3248], [0.5997, 0.8494, 0.5515], [0.6103, 0.3373, 0.0566], [0.6201, 0.0581, 0.3129], [0.6266, 0.5602, 0.8109], [0.8576, 0.6607, 0.4366], [0.8805, 0.1937, 0.9340], [0.8881, 0.8980, 0.1973], [0.9028, 0.4154, 0.7002], [0.9286, 0.7092, 0.9257], [0.9398, 0.2303, 0.4292]]
}

***

Entry 2:
{
  "formula": "KVAsO5",
  "functional": "GGA+U",
  "state": "optimized geometry",
  "final_energy_ev_per_atom": -6.38,
  "e_form_ev_per_atom": -2.073,
  "vol_a3_per_cell": 956.1,
  "spacegroup": "No. 33",
  "cell": [[13.2879, 0.0000, 0.0000], [0.0000, 6.6402, 0.0000], [0.0000, 0.0000, 10.8365]],
  "species": ["K", "K", "K", "K", "K", "K", "K", "K", "V", "V", "V", "V", "V", "V", "V", "V", "As", "As", "As", "As", "As", "As", "As", "As", "O", "O", "O", "O", "O", "O", "O", "O", "O", "O", "O", "O", "O", "O", "O", "O", "O", "O", "O", "O", "O", "O", "O", "O", "O", "O", "O", "O", "O", "O", "O", "O", "O", "O", "O", "O", "O", "O", "O", "O"],
  "fractional_positions": [[0.1058, 0.2080, 0.0000], [0.1224, 0.7744, 0.2549], [0.3776, 0.2744, 0.7549], [0.3942, 0.7080, 0.5000], [0.6058, 0.2920, 0.0000], [0.6224, 0.7256, 0.2549], [0.8776, 0.2256, 0.7549], [0.8942, 0.7920, 0.5000], [0.1254, 0.4979, 0.5680], [0.2480, 0.7699, 0.8171], [0.2520, 0.2699, 0.3171], [0.3746, 0.9979, 0.0680], [0.6254, 0.0021, 0.5680], [0.7480, 0.7301, 0.8171], [0.7520, 0.2301, 0.3171], [0.8746, 0.5021, 0.0680], [0.0017, 0.3237, 0.3091], [0.1809, 0.0018, 0.5547], [0.3191, 0.5018, 0.0547], [0.4983, 0.8237, 0.8091], [0.5017, 0.1763, 0.3091], [0.6809, 0.4982, 0.5547], [0.8191, 0.9982, 0.0547], [0.9983, 0.6763, 0.8091], [0.0060, 0.5279, 0.6787], [0.0160, 0.4874, 0.4299], [0.0993, 0.8362, 0.8244], [0.1042, 0.2017, 0.5900], [0.1063, 0.7988, 0.5192], [0.1072, 0.1743, 0.2898], [0.2142, 0.5517, 0.6800], [0.2217, 0.4481, 0.4289], [0.2358, 0.4524, 0.1734], [0.2360, 0.5391, 0.9337], [0.2640, 0.0391, 0.4337], [0.2642, 0.9524, 0.6734], [0.2783, 0.9481, 0.9289], [0.2858, 0.0517, 0.1800], [0.3928, 0.6743, 0.7898], [0.3937, 0.2988, 0.0192], [0.3958, 0.7017, 0.0900], [0.4007, 0.3362, 0.3244], [0.4840, 0.9874, 0.9299], [0.4940, 0.0279, 0.1787], [0.5060, 0.9721, 0.6787], [0.5160, 0.0126, 0.4299], [0.5993, 0.6638, 0.8244], [0.6042, 0.2983, 0.5900], [0.6063, 0.7012, 0.5192], [0.6072, 0.3257, 0.2898], [0.7142, 0.9483, 0.6800], [0.7217, 0.0519, 0.4289], [0.7358, 0.0476, 0.1734], [0.7360, 0.9609, 0.9337], [0.7640, 0.4609, 0.4337], [0.7642, 0.5476, 0.6734], [0.7783, 0.5519, 0.9289], [0.7858, 0.4483, 0.1800], [0.8928, 0.8257, 0.7898], [0.8937, 0.2012, 0.0192], [0.8958, 0.7983, 0.0900], [0.9007, 0.1638, 0.3244], [0.9840, 0.5126, 0.9299], [0.9940, 0.4721, 0.1787]]
}

***

Entry 3:
{
  "formula": "NaVCdO4",
  "functional": "GGA+U",
  "state": "optimized geometry",
  "de_polymorph_ev_per_atom": 0.0485,
  "final_energy_ev_per_atom": -5.89,
  "e_form_ev_per_atom": -2.081,
  "vol_a3_per_cell": 203.3,
  "spacegroup": "No. 63",
  "cell": [[3.1083, -4.7575, 0.0000], [3.1083, 4.7575, 0.0000], [0.0000, 0.0000, 6.8748]],
  "species": ["Na", "Na", "V", "V", "Cd", "Cd", "O", "O", "O", "O", "O", "O", "O", "O"],
  "fractional_positions": [[0.0000, 0.0000, 0.0000], [0.0000, 0.0000, 0.5000], [0.3602, 0.6398, 0.7500], [0.6398, 0.3602, 0.2500], [0.3246, 0.6754, 0.2500], [0.6754, 0.3246, 0.7500], [0.2467, 0.3053, 0.7500], [0.2513, 0.7487, 0.5443], [0.2513, 0.7487, 0.9557], [0.3053, 0.2467, 0.2500], [0.6947, 0.7533, 0.7500], [0.7487, 0.2513, 0.0443], [0.7487, 0.2513, 0.4557], [0.7533, 0.6947, 0.2500]]
}